# 1
Here is MgCo5NiO12 after structural relaxation from the Materials Project database. Energies are from PBE+U.

Results
Formation energy = -1.21 eV per atom
Magnetization = 1.00 μB/f.u.
Energy = -5.5994 eV/atom
MP2020-corrected energy = -6.598 eV per atom

The structure in CIF format:
```
data_MgCo5NiO12
_cell_length_a 4.881
_cell_length_b 4.884
_cell_length_c 10.112
_cell_angle_alpha 89.74
_cell_angle_beta 89.17
_cell_angle_gamma 60.06
_symmetry_space_group_name_H-M 'P 1'
_symmetry_Int_Tables_number 1
_symmetry_space_group_name_Hall 'P 1'
loop_
_atom_site_label
_atom_site_type_symbol
_atom_site_fract_x
_atom_site_fract_y
_atom_site_fract_z
Mg1 Mg 0.000 0.000 0.000
Co1 Co 0.170 0.505 0.748
Co2 Co 0.174 0.005 0.256
Co3 Co 0.502 0.838 0.749
Co4 Co 0.833 0.175 0.738
Co5 Co 0.837 0.671 0.251
Ni1 Ni 0.504 0.338 0.248
O1 O 0.155 0.168 0.848
O2 O 0.169 0.346 0.344
O3 O 0.170 0.678 0.151
O4 O 0.175 0.832 0.654
O5 O 0.498 0.174 0.654
O6 O 0.501 0.501 0.845
O7 O 0.510 0.664 0.344
O8 O 0.511 0.004 0.153
O9 O 0.825 0.007 0.344
O10 O 0.840 0.509 0.654
O11 O 0.840 0.847 0.848
O12 O 0.843 0.327 0.151
```



# 2
Here is Li4Cr3CoP4O16 after structural relaxation from the Materials Project database. Energies are from PBE+U.

Results
Formation energy = -2.52 eV per atom
Magnetization = 15.00 μB/f.u.
Energy = -7.0124 eV/atom
MP2020-corrected energy = -7.678 eV per atom

The structure in CIF format:
```
data_Li4Cr3CoP4O16
_cell_length_a 4.772
_cell_length_b 6.276
_cell_length_c 10.236
_cell_angle_alpha 90.00
_cell_angle_beta 90.41
_cell_angle_gamma 90.00
_symmetry_space_group_name_H-M 'P 1 m 1'
_symmetry_Int_Tables_number 6
_symmetry_space_group_name_Hall 'P -2y'
loop_
_atom_site_label
_atom_site_type_symbol
_atom_site_fract_x
_atom_site_fract_y
_atom_site_fract_z
Li1 Li 0.000 0.247 0.000
Li2 Li 0.507 0.248 0.502
Cr1 Cr 0.048 0.500 0.720
Cr2 Cr 0.453 0.500 0.217
Cr3 Cr 0.958 0.000 0.285
Co1 Co 0.523 0.000 0.780
P1 P 0.086 0.000 0.596
P2 P 0.418 0.000 0.096
P3 P 0.585 0.500 0.907
P4 P 0.922 0.500 0.407
O1 O 0.203 0.000 0.453
O2 O 0.224 0.196 0.666
O3 O 0.246 0.500 0.401
O4 O 0.261 0.500 0.901
O5 O 0.287 0.197 0.164
O6 O 0.302 0.000 0.953
O7 O 0.696 0.500 0.051
O8 O 0.716 0.299 0.841
O9 O 0.743 0.000 0.103
O10 O 0.762 0.000 0.599
O11 O 0.788 0.301 0.340
O12 O 0.813 0.500 0.550
```



# 3
Here is PrCoO3 after structural relaxation from the Materials Project database. Energies are from PBE+U.

Results
Formation energy = -2.39 eV per atom
Magnetization = 1.74 μB/f.u.
Energy = -6.9958 eV/atom
MP2020-corrected energy = -7.736 eV per atom

The structure in CIF format:
```
data_PrCoO3
_cell_length_a 3.819
_cell_length_b 3.819
_cell_length_c 3.819
_cell_angle_alpha 90.00
_cell_angle_beta 90.00
_cell_angle_gamma 90.00
_symmetry_space_group_name_H-M 'P m -3 m'
_symmetry_Int_Tables_number 221
_symmetry_space_group_name_Hall '-P 4 2 3'
loop_
_atom_site_label
_atom_site_type_symbol
_atom_site_fract_x
_atom_site_fract_y
_atom_site_fract_z
Pr1 Pr 0.000 0.000 0.000
Co1 Co 0.500 0.500 0.500
O1 O 0.000 0.500 0.500
```



# 4
Here is V2Cd3O8 after structural relaxation from the Materials Project database. Energies are from PBE+U.

Results
Formation energy = -1.95 eV per atom
Magnetization = 0.00 μB/f.u.
Energy = -5.9218 eV/atom
MP2020-corrected energy = -6.606 eV per atom

The structure in CIF format:
```
data_V2Cd3O8
_cell_length_a 7.065
_cell_length_b 5.420
_cell_length_c 10.051
_cell_angle_alpha 90.00
_cell_angle_beta 90.00
_cell_angle_gamma 90.00
_symmetry_space_group_name_H-M 'P m c 21'
_symmetry_Int_Tables_number 26
_symmetry_space_group_name_Hall 'P 2c -2'
loop_
_atom_site_label
_atom_site_type_symbol
_atom_site_fract_x
_atom_site_fract_y
_atom_site_fract_z
V1 V 0.000 0.241 0.000
V2 V 0.500 0.256 0.638
Cd1 Cd 0.000 0.249 0.668
Cd2 Cd 0.260 0.250 0.320
O1 O 0.000 0.169 0.179
O2 O 0.000 0.437 0.454
O3 O 0.191 0.100 0.933
O4 O 0.291 0.396 0.698
O5 O 0.500 0.050 0.187
O6 O 0.500 0.296 0.465
```